*A*
Tb3NbO7 after structural relaxation. Source: Materials Project, functional PBE.

Geometry as POSCAR:
```
Tb3NbO7
1.0
5.3173 -3.6955 0.0000
5.3173 3.6955 0.0000
0.0000 0.0000 7.5775
Tb Nb O
6 2 14
direct
0.0000 0.0000 0.0000
0.0000 0.0000 0.5000
0.0561 0.4852 0.7500
0.4852 0.0561 0.2500
0.5148 0.9439 0.7500
0.9439 0.5148 0.2500
0.5000 0.5000 0.0000
0.5000 0.5000 0.5000
0.1132 0.1519 0.2500
0.1519 0.1132 0.7500
0.1759 0.5656 0.0336
0.1759 0.5656 0.4664
0.4232 0.5768 0.7500
0.4344 0.8241 0.0336
0.4344 0.8241 0.4664
0.5656 0.1759 0.5336
0.5656 0.1759 0.9664
0.5768 0.4232 0.2500
0.8241 0.4344 0.5336
0.8241 0.4344 0.9664
0.8481 0.8868 0.2500
0.8868 0.8481 0.7500
```

Output
**Symmetry**: No. 63


*B*
Tb3NbO7 after structural relaxation. Source: Materials Project, functional PBE.

Geometry as POSCAR:
```
Tb3NbO7
1.0
7.4994 0.0000 0.0000
0.0000 10.6421 0.0000
0.0000 0.0000 7.6341
Tb Nb O
12 4 28
direct
0.0154 0.2500 0.2004
0.2504 0.0218 0.5334
0.2504 0.4782 0.5334
0.2496 0.5218 0.0334
0.2496 0.9782 0.0334
0.4846 0.7500 0.7004
0.5154 0.2500 0.2996
0.7504 0.0218 0.9666
0.7504 0.4782 0.9666
0.7496 0.5218 0.4666
0.7496 0.9782 0.4666
0.9846 0.7500 0.7996
0.0044 0.2500 0.7457
0.4956 0.7500 0.2457
0.5044 0.2500 0.7543
0.9956 0.7500 0.2543
0.0373 0.1247 0.9541
0.0373 0.3753 0.9541
0.0417 0.6098 0.4094
0.0417 0.8902 0.4094
0.2428 0.6159 0.7673
0.2428 0.8841 0.7673
0.2492 0.2500 0.6614
0.2508 0.7500 0.1614
0.2572 0.1159 0.2673
0.2572 0.3841 0.2673
0.4583 0.1098 0.9094
0.4583 0.3902 0.9094
0.4627 0.6247 0.4541
0.4627 0.8753 0.4541
0.5373 0.1247 0.5459
0.5373 0.3753 0.5459
0.5417 0.6098 0.0906
0.5417 0.8902 0.0906
0.7428 0.6159 0.7327
0.7428 0.8841 0.7327
0.7492 0.2500 0.8386
0.7508 0.7500 0.3386
0.7572 0.1159 0.2327
0.7572 0.3841 0.2327
0.9583 0.1098 0.5906
0.9583 0.3902 0.5906
0.9627 0.6247 0.0459
0.9627 0.8753 0.0459
```

Output
**Symmetry**: No. 62


*C*
Tb3NbO7 after structural relaxation. Source: Materials Project, functional PBE.

Geometry as POSCAR:
```
Tb3NbO7
1.0
3.7738 -5.3101 0.0000
3.7738 5.3101 0.0000
0.0000 0.0000 7.5544
Tb Nb O
6 2 14
direct
0.0258 0.0258 0.0000
0.0358 0.5003 0.2541
0.5003 0.0358 0.7459
0.4997 0.9642 0.2459
0.9642 0.4997 0.7541
0.9742 0.9742 0.5000
0.4966 0.4966 0.5000
0.5034 0.5034 0.0000
0.1294 0.8706 0.7500
0.1378 0.8622 0.2500
0.1726 0.4186 0.9721
0.1851 0.4388 0.5383
0.4186 0.1726 0.0279
0.4298 0.5702 0.2500
0.4388 0.1851 0.4617
0.5612 0.8149 0.9617
0.5702 0.4298 0.7500
0.5814 0.8274 0.5279
0.8149 0.5612 0.0383
0.8274 0.5814 0.4721
0.8622 0.1378 0.7500
0.8706 0.1294 0.2500
```

Output
**Symmetry**: No. 20


Unit: eV/atom. Relative energies: *A* 0.025; *B* 0.008; *C* 0.000.


*A*
Ti3NbO8 after structural relaxation. Source: Materials Project, functional PBE.

Geometry as POSCAR:
```
Ti3NbO8
1.0
9.4321 -2.9987 0.0000
9.4321 2.9987 0.0000
-0.0368 0.0000 4.7180
Ti Nb O
6 2 16
direct
0.0000 0.5000 0.0000
0.1285 0.1285 0.5047
0.2378 0.7622 0.0000
0.5000 0.0000 0.0000
0.7622 0.2378 0.0000
0.8715 0.8715 0.4953
0.3780 0.3780 0.5039
0.6220 0.6220 0.4961
0.0505 0.0505 0.1957
0.0661 0.5802 0.6970
0.1753 0.6778 0.3036
0.1997 0.1997 0.8025
0.3007 0.3007 0.1921
0.3222 0.8247 0.6964
0.4198 0.9339 0.3030
0.4501 0.4501 0.8055
0.5499 0.5499 0.1945
0.5802 0.0661 0.6970
0.6778 0.1753 0.3036
0.6993 0.6993 0.8079
0.8003 0.8003 0.1975
0.8247 0.3222 0.6964
0.9339 0.4198 0.3030
0.9495 0.9495 0.8043
```

Output
**Symmetry**: No. 12


*B*
Ti3NbO8 after structural relaxation. Source: Materials Project, functional PBE.

Geometry as POSCAR:
```
Ti3NbO8
1.0
5.9745 0.0000 0.0000
-2.9872 5.1740 0.0000
0.0000 0.0000 9.4014
Ti Nb O
6 2 16
direct
0.1687 0.3374 0.0000
0.1687 0.8313 0.0000
0.3374 0.1687 0.5000
0.6626 0.8313 0.0000
0.8313 0.1687 0.5000
0.8313 0.6626 0.5000
0.3333 0.6667 0.2764
0.6667 0.3333 0.7764
0.0000 0.0000 0.0953
0.0000 0.0000 0.5953
0.0428 0.5214 0.1220
0.1693 0.3385 0.3864
0.1693 0.8307 0.3864
0.3333 0.6667 0.8919
0.3385 0.1693 0.8864
0.4786 0.5214 0.1220
0.4786 0.9572 0.1220
0.5214 0.0428 0.6220
0.5214 0.4786 0.6220
0.6615 0.8307 0.3864
0.6667 0.3333 0.3919
0.8307 0.1693 0.8864
0.8307 0.6615 0.8864
0.9572 0.4786 0.6220
```

Output
**Symmetry**: No. 186


Unit: eV/atom. Relative energies: *A* 0.000; *B* 0.061.


*A*
UNb6O16 after structural relaxation. Source: Materials Project, functional PBE.

Geometry as POSCAR:
```
UNb6O16
1.0
11.3772 -1.9136 0.0000
11.3772 1.9136 0.0000
-0.8068 0.0000 7.3937
U Nb O
1 6 16
direct
0.0000 0.0000 0.0000
0.0902 0.0548 0.5308
0.1186 0.3246 0.3242
0.4065 0.3285 0.1092
0.6715 0.5935 0.8908
0.6754 0.8814 0.6758
0.9452 0.9098 0.4692
0.0227 0.0052 0.3253
0.1305 0.1511 0.4199
0.1306 0.0839 0.8269
0.1759 0.3561 0.5953
0.2497 0.3399 0.2137
0.4388 0.4035 0.3865
0.4395 0.4486 0.9802
0.5318 0.1160 0.8917
0.5514 0.5605 0.0198
0.5965 0.5612 0.6135
0.6439 0.8241 0.4047
0.6601 0.7503 0.7863
0.8489 0.8695 0.5801
0.8840 0.4682 0.1083
0.9161 0.8694 0.1731
0.9948 0.9773 0.6747
```

Output
**Symmetry**: No. 5


*B*
UNb6O16 after structural relaxation. Source: Materials Project, functional PBE.

Geometry as POSCAR:
```
UNb6O16
1.0
6.7934 0.0000 0.0000
-1.5447 6.6232 0.0000
-1.8207 -3.0427 8.2581
U Nb O
1 6 16
direct
0.0000 0.0000 0.0000
0.0912 0.3901 0.8527
0.1931 0.5648 0.5168
0.3506 0.9023 0.3273
0.6198 0.1292 0.7258
0.6974 0.4238 0.4318
0.8295 0.5719 0.1036
0.0054 0.6605 0.9453
0.0810 0.6844 0.3058
0.1541 0.1284 0.8448
0.2317 0.5277 0.7245
0.2680 0.0703 0.2011
0.3621 0.8929 0.5648
0.4389 0.4904 0.4719
0.4573 0.7285 0.2075
0.6077 0.3701 0.8813
0.6158 0.1575 0.4945
0.6666 0.4266 0.2176
0.6960 0.9464 0.8294
0.8173 0.8547 0.1328
0.9073 0.6621 0.5728
0.9700 0.3196 0.3953
0.9933 0.3400 0.0437
```

Output
**Symmetry**: No. 1


Unit: eV/atom. Relative energies: *A* 0.000; *B* 0.175.